# 1
This record from the Materials Project describes a relaxed Ta5As4 crystal. The functional is GGA-PBE.

Output
Uncorrected energy: -0.33725 hartree per atom
Formation energy from the elements: -0.5188 eV per atom

abc: 3.452 7.208 7.208
angles: 86.71 76.15 76.15
Element x y z (fractional)
Ta1 0.306 0.062 0.326
Ta2 0.694 0.938 0.674
Ta3 0.368 0.326 0.938
Ta4 0.632 0.674 0.062
Ta5 0.000 0.000 0.000
As1 0.948 0.767 0.337
As2 0.052 0.233 0.663
As3 0.715 0.337 0.233
As4 0.285 0.663 0.767



# 2
This record from the Materials Project describes a relaxed CaFe4Sb12 crystal. The functional is GGA-PBE.

Output
Uncorrected energy: -0.19030 hartree per atom
Formation energy from the elements: -0.2884 eV per atom

abc: 7.948 7.948 7.948
angles: 109.47 109.47 109.47
Element x y z (fractional)
Fe1 0.500 0.000 0.000
Fe2 0.500 0.500 0.500
Fe3 0.000 0.000 0.500
Fe4 0.000 0.500 0.000
Sb1 0.503 0.839 0.665
Sb2 0.335 0.497 0.161
Sb3 0.161 0.665 0.826
Sb4 0.161 0.335 0.497
Sb5 0.174 0.839 0.335
Sb6 0.665 0.503 0.839
Sb7 0.839 0.665 0.503
Sb8 0.335 0.174 0.839
Sb9 0.839 0.335 0.174
Sb10 0.665 0.826 0.161
Sb11 0.826 0.161 0.665
Sb12 0.497 0.161 0.335
Ca1 0.000 0.000 0.000



# 3
This record from the Materials Project describes a relaxed Na4Ag crystal. The functional is GGA-PBE.

Output
Uncorrected energy: -0.05353 hartree per atom
Formation energy from the elements: 0.1680 eV per atom

abc: 8.287 8.287 8.287
angles: 60.00 60.00 60.00
Element x y z (fractional)
Na1 0.580 0.140 0.140
Na2 0.610 0.610 0.610
Na3 0.610 0.170 0.610
Na4 0.140 0.140 0.580
Na5 0.140 0.140 0.140
Na6 0.170 0.610 0.610
Na7 0.610 0.610 0.170
Na8 0.140 0.580 0.140
Ag1 0.750 0.750 0.750
Ag2 0.000 0.000 0.000



# 4
This record from the Materials Project describes a relaxed CeSe2 crystal. The functional is GGA-PBE.

Output
Uncorrected energy: -0.21484 hartree per atom
Formation energy from the elements: -1.8525 eV per atom

abc: 9.682 10.638 12.937
angles: 98.38 94.75 99.42
Element x y z (fractional)
Se1 0.133 0.496 0.399
Se2 0.363 0.194 0.318
Se3 0.786 0.264 0.289
Se4 0.867 0.504 0.601
Se5 0.329 0.886 0.444
Se6 0.096 0.196 0.523
Se7 0.637 0.806 0.682
Se8 0.822 0.575 0.167
Se9 0.441 0.422 0.630
Se10 0.214 0.736 0.711
Se11 0.559 0.578 0.370
Se12 0.985 0.042 0.786
Se13 0.486 0.347 0.062
Se14 0.289 0.966 0.012
Se15 0.938 0.731 0.911
Se16 0.711 0.034 0.988
Se17 0.671 0.114 0.556
Se18 0.062 0.269 0.089
Se19 0.904 0.804 0.477
Se20 0.015 0.958 0.214
Se21 0.756 0.343 0.860
Se22 0.514 0.653 0.938
Se23 0.178 0.425 0.833
Se24 0.244 0.657 0.140
Se25 0.593 0.885 0.249
Se26 0.407 0.115 0.751
Ce1 0.534 0.616 0.154
Ce2 0.074 0.227 0.305
Ce3 0.926 0.773 0.695
Ce4 0.155 0.465 0.617
Ce5 0.000 0.000 0.000
Ce6 0.694 0.074 0.772
Ce7 0.384 0.155 0.535
Ce8 0.227 0.694 0.925
Ce9 0.773 0.306 0.075
Ce10 0.466 0.384 0.846
Ce11 0.306 0.926 0.228
Ce12 0.845 0.535 0.383
Ce13 0.616 0.845 0.465